# 1
! PBE with a Hubbard U CoPtF6, optimized geometry; values from VASP
&SYSTEM
  ibrav = 0, nat = 8, ntyp = 3
/
ATOMIC_SPECIES
Co 58.93 Co.upf
Pt 195.08 Pt.upf
F 19.00 F.upf
CELL_PARAMETERS angstrom
-0.7634 -0.4026 -5.4142
-3.1472 -3.8354 -2.3331
-4.7702 1.0949 -2.4708
ATOMIC_POSITIONS angstrom
Co -4.3404 -1.5715 -5.1090
Pt 0.0000 0.0000 0.0000
F -6.3737 -1.5109 -4.9768
F -4.4426 -3.3810 -6.0421
F -4.2383 0.2380 -4.1760
F -2.3072 -1.6321 -5.2413
F -4.4170 -0.6235 -6.9120
F -4.2638 -2.5195 -3.3060
! formation enthalpy at 0 K	-187.5	kJ/mol of atoms

---

# 2
! PBE with a Hubbard U VAg3F6, optimized geometry; values from VASP
&SYSTEM
  ibrav = 0, nat = 10, ntyp = 3
/
ATOMIC_SPECIES
V 50.94 V.upf
Ag 107.87 Ag.upf
F 19.00 F.upf
CELL_PARAMETERS angstrom
3.3780 -3.8565 -3.3024
-2.1780 -5.5175 -1.4152
-1.5732 -1.2736 -5.7526
ATOMIC_POSITIONS angstrom
V 0.0000 0.0000 0.0000
Ag -0.0933 -2.6619 -2.6176
Ag -0.2799 -7.9858 -7.8527
Ag -0.1866 -5.3238 -5.2351
F 1.7672 -4.5196 -4.1758
F -2.1404 -6.1281 -6.2944
F -1.2781 -5.4300 -3.1414
F 0.9049 -5.2177 -7.3288
F -0.9466 -3.1039 -5.5188
F 0.5734 -7.5438 -4.9515
! formation enthalpy at 0 K	-176.8	kJ/mol of atoms

---

# 3
! PBE with a Hubbard U BaYFe2O5, optimized geometry; values from VASP
&SYSTEM
  ibrav = 0, nat = 18, ntyp = 4
/
ATOMIC_SPECIES
Ba 137.33 Ba.upf
Y 88.91 Y.upf
Fe 55.84 Fe.upf
O 16.00 O.upf
CELL_PARAMETERS angstrom
3.9709 0.0000 0.0000
0.0000 7.7035 0.0000
0.0000 0.0000 7.9488
ATOMIC_POSITIONS angstrom
Ba 0.0000 0.0000 3.9744
Ba 0.0000 0.0000 0.0000
Y 0.0000 3.8518 3.9744
Y 0.0000 3.8518 0.0000
Fe 1.9855 2.1513 5.9616
Fe 1.9855 2.0005 1.9872
Fe 1.9855 5.7030 5.9616
Fe 1.9855 5.5522 1.9872
O 1.9855 2.4261 0.0471
O 0.0000 5.3105 5.9616
O 1.9855 2.4261 3.9274
O 1.9855 5.2774 7.9018
O 1.9855 0.0837 1.9872
O 0.0000 2.4807 5.9616
O 1.9855 5.2774 4.0215
O 0.0000 2.3930 1.9872
O 0.0000 5.2228 1.9872
O 1.9855 7.6198 5.9616
! formation enthalpy at 0 K	-246.2	kJ/mol of atoms
! energy relative to the lowest polymorph listed for this composition	0.000	eV/atom

---

# 4
! PBE with a Hubbard U Fe3C10SO10, optimized geometry; values from VASP
&SYSTEM
  ibrav = 0, nat = 96, ntyp = 4
/
ATOMIC_SPECIES
Fe 55.84 Fe.upf
C 12.01 C.upf
S 32.06 S.upf
O 16.00 O.upf
CELL_PARAMETERS angstrom
-1.8030 5.8481 -8.4157
3.5426 -6.3524 -5.1733
-12.1424 -11.8611 -5.6409
ATOMIC_POSITIONS angstrom
Fe -8.4487 -10.7953 -16.3334
Fe -6.2615 -8.2249 -7.4225
Fe -1.9541 -1.5700 -2.8966
Fe -2.0994 -5.7668 -12.2148
Fe -0.2375 -2.1416 -4.8219
Fe -8.3034 -6.5985 -7.0152
Fe -5.9173 -5.9937 -6.0935
Fe -4.4855 -6.3717 -13.1365
Fe -10.5510 -12.3207 -15.9303
Fe -10.1653 -10.2237 -14.4081
Fe 0.1482 -0.0447 -3.2996
Fe -4.1412 -4.1404 -11.8074
C -3.7043 -7.9059 -13.5964
C -6.6039 -8.9892 -9.0147
C -5.3026 -6.3836 -4.4523
C -6.6985 -4.4594 -5.6335
C -5.9678 -13.0346 -10.8598
C -7.6944 -9.2496 -15.8479
C -1.2254 -4.6094 -11.1706
C -5.4694 -11.4009 -12.7699
C -4.4767 -8.2572 -7.5180
C -10.1409 -8.4281 -14.3000
C -0.1903 -0.5406 -10.5645
C -5.1001 -5.9818 -14.7776
C -4.3040 -5.3667 -6.6040
C -10.4681 -5.3848 -11.0128
C -11.7901 -4.3471 -12.9470
C -2.7084 -3.1157 -3.3820
C -0.9022 -1.9882 -6.4837
C 1.4607 -1.8927 -5.3220
C -4.9334 -0.9645 -6.4600
C -9.1774 -7.7560 -8.0593
C -7.1563 -7.5938 -5.6555
C -5.9261 -4.1082 -11.7119
C -4.4350 0.6693 -8.3701
C -0.2619 -3.9372 -4.9300
C -10.2125 -11.8248 -8.6654
C -6.3907 -9.8087 -6.5845
C -11.8635 -10.4727 -13.9079
C -1.4508 -0.4771 -4.5420
C 1.5496 -1.9277 -9.2569
C -9.9866 -13.1517 -17.4023
C -3.7988 -3.3761 -10.2152
C -9.5006 -10.3772 -12.7462
C -11.9523 -10.4377 -9.9730
C 1.3873 -8.0182 -6.2829
C -0.4162 0.7864 -1.8276
C -6.0988 -6.9986 -12.6259
C -8.9520 -11.8882 -14.6879
C -3.2465 -4.7715 -13.5744
C -4.0121 -2.5567 -12.6454
C 0.0653 -6.9805 -8.2172
S -10.5825 -10.1723 -16.6090
S -3.9065 -6.2036 -10.9654
S 0.1797 -2.1930 -2.6210
S -6.4963 -6.1618 -8.2645
O -3.2459 -4.0925 -3.6986
O -13.1966 -7.3822 -13.1772
O -2.1242 -7.3832 -4.7627
O -8.2786 -4.9821 -14.4672
O -1.3286 -0.6287 -10.7504
O -0.2312 -5.0865 -5.0556
O -0.8990 -6.3499 -8.2951
O -3.7187 -11.5469 -7.4012
O -6.7295 -13.0610 -9.9923
O -0.8275 1.2853 -7.9367
O -9.0741 -11.7366 -8.4795
O -3.2689 -4.9436 -6.9002
O -8.3077 -12.5592 -13.9222
O -9.5038 -6.0154 -10.9348
O -7.1339 -7.4218 -12.3297
O 2.7939 -4.9831 -6.0527
O -9.7842 -8.5082 -8.6991
O 1.4997 -2.8504 -8.5611
O -3.6390 -2.8447 -9.2006
O -0.6186 -3.8572 -10.5309
O -7.0787 -4.0614 -11.5974
O -9.8302 -10.1052 -5.6749
O -7.4166 -8.1684 -4.6289
O -9.5752 -13.6506 -11.2932
O -4.4479 -1.9404 -6.0696
O -2.9862 -4.1970 -14.6010
O -5.9549 -10.4250 -13.1603
O -11.9025 -9.5150 -10.6688
O -0.5726 -2.2602 -13.5550
O -6.7821 -2.5654 -8.7540
O -3.6733 0.6957 -9.2376
O -6.7638 -9.5207 -10.0293
O -2.0951 0.1938 -5.3077
O -1.3303 -1.8964 -7.5529
O -6.6841 -0.8185 -11.8287
O -3.3240 -8.3040 -7.6325
O -9.0724 -10.4689 -11.6770
O -10.1715 -7.2789 -14.1743
O -7.1568 -8.2728 -15.5313
O -3.6207 -9.7999 -10.4759
! formation enthalpy at 0 K	-54.8	kJ/mol of atoms